No. 1
Li4Mn2P3O12: relaxed, PBE with a Hubbard U.

Geometry as CIF:
```
data_Li4Mn2P3O12
_space_group_name_H-M_alt 'P 1'
_space_group_IT_number 1
_space_group_name_Hall 'P 1'
_cell_length_a 8.377
_cell_length_b 8.519
_cell_length_c 9.239
_cell_angle_alpha 92.30
_cell_angle_beta 115.48
_cell_angle_gamma 119.11
loop_
_atom_site_label
_atom_site_type_symbol
_atom_site_fract_x
_atom_site_fract_y
_atom_site_fract_z
Li1 Li 0.069 0.338 0.146
Li2 Li 0.195 0.268 0.864
Li3 Li 0.331 0.795 0.591
Li4 Li 0.368 0.058 0.098
Li5 Li 0.632 0.942 0.902
Li6 Li 0.669 0.205 0.409
Li7 Li 0.805 0.732 0.136
Li8 Li 0.931 0.662 0.854
Mn1 Mn 0.284 0.147 0.437
Mn2 Mn 0.311 0.650 0.966
Mn3 Mn 0.689 0.350 0.034
Mn4 Mn 0.716 0.853 0.563
P1 P 0.194 0.747 0.239
P2 P 0.215 0.952 0.752
P3 P 0.497 0.550 0.753
P4 P 0.503 0.450 0.247
P5 P 0.785 0.048 0.248
P6 P 0.806 0.253 0.761
O1 O 0.001 0.148 0.256
O2 O 0.017 0.532 0.181
O3 O 0.112 0.871 0.251
O4 O 0.200 0.974 0.585
O5 O 0.251 0.788 0.095
O6 O 0.304 0.436 0.102
O7 O 0.320 0.839 0.808
O8 O 0.335 0.504 0.815
O9 O 0.359 0.151 0.898
O10 O 0.383 0.394 0.592
O11 O 0.388 0.798 0.407
O12 O 0.429 0.252 0.274
O13 O 0.571 0.748 0.726
O14 O 0.612 0.202 0.593
O15 O 0.617 0.606 0.408
O16 O 0.641 0.849 0.102
O17 O 0.665 0.496 0.185
O18 O 0.680 0.161 0.192
O19 O 0.696 0.564 0.898
O20 O 0.749 0.212 0.905
O21 O 0.800 0.026 0.415
O22 O 0.888 0.129 0.749
O23 O 0.983 0.468 0.819
O24 O 0.999 0.852 0.744
```

Output
M_tot, μB per cell: 18.00
Calculated volume, Å³ per cell: 493
Crystal system: triclinic
ΔH_f (0 K), eV/atom: -2.60
Uncorrected energy, eV per atom: -6.88
Energy above the lowest structure with this stoichiometry, kJ/mol of formula units: 0

***

No. 2
Li5NiOF5: relaxed, PBE with a Hubbard U.

Geometry as CIF:
```
data_Li5NiOF5
_space_group_name_H-M_alt 'P 1'
_space_group_IT_number 1
_space_group_name_Hall 'P 1'
_cell_length_a 5.495
_cell_length_b 6.340
_cell_length_c 15.577
_cell_angle_alpha 95.85
_cell_angle_beta 100.10
_cell_angle_gamma 90.00
loop_
_atom_site_label
_atom_site_type_symbol
_atom_site_fract_x
_atom_site_fract_y
_atom_site_fract_z
Li1 Li 0.000 0.000 0.000
Li2 Li 0.000 0.500 0.000
Li3 Li 0.085 0.208 0.837
Li4 Li 0.085 0.708 0.837
Li5 Li 0.162 0.081 0.324
Li6 Li 0.162 0.581 0.324
Li7 Li 0.248 0.290 0.162
Li8 Li 0.248 0.790 0.162
Li9 Li 0.409 0.371 0.485
Li10 Li 0.409 0.871 0.485
Li11 Li 0.500 0.250 0.000
Li12 Li 0.500 0.750 0.000
Li13 Li 0.585 0.460 0.837
Li14 Li 0.585 0.960 0.837
Li15 Li 0.662 0.331 0.324
Li16 Li 0.662 0.831 0.324
Li17 Li 0.748 0.041 0.162
Li18 Li 0.748 0.540 0.162
Li19 Li 0.909 0.122 0.485
Li20 Li 0.909 0.622 0.485
Ni1 Ni 0.336 0.172 0.670
Ni2 Ni 0.337 0.672 0.671
Ni3 Ni 0.836 0.413 0.671
Ni4 Ni 0.837 0.913 0.670
O1 O 0.020 0.173 0.706
O2 O 0.021 0.673 0.707
O3 O 0.520 0.930 0.706
O4 O 0.521 0.430 0.707
F1 F 0.100 0.050 0.200
F2 F 0.100 0.550 0.200
F3 F 0.186 0.259 0.038
F4 F 0.186 0.759 0.038
F5 F 0.260 0.130 0.522
F6 F 0.260 0.630 0.522
F7 F 0.347 0.840 0.361
F8 F 0.348 0.340 0.362
F9 F 0.438 0.219 0.876
F10 F 0.438 0.720 0.876
F11 F 0.600 0.300 0.200
F12 F 0.600 0.800 0.200
F13 F 0.686 0.010 0.038
F14 F 0.686 0.509 0.038
F15 F 0.760 0.381 0.522
F16 F 0.760 0.881 0.522
F17 F 0.847 0.091 0.361
F18 F 0.847 0.591 0.361
F19 F 0.938 0.468 0.876
F20 F 0.938 0.968 0.876
```

Output
M_tot, μB per cell: 0.00
Calculated volume, Å³ per cell: 531
Crystal system: triclinic
ΔH_f (0 K), eV/atom: -2.77
Uncorrected energy, eV per atom: -4.79
Energy above the lowest structure with this stoichiometry, kJ/mol of formula units: 49

***

No. 3
NaNiO2: relaxed, PBE with a Hubbard U.

Geometry as CIF:
```
data_NaNiO2
_space_group_name_H-M_alt 'P 1'
_space_group_IT_number 1
_space_group_name_Hall 'P 1'
_cell_length_a 3.051
_cell_length_b 5.069
_cell_length_c 10.666
_cell_angle_alpha 89.96
_cell_angle_beta 89.97
_cell_angle_gamma 85.69
loop_
_atom_site_label
_atom_site_type_symbol
_atom_site_fract_x
_atom_site_fract_y
_atom_site_fract_z
O1 O 0.458 0.819 0.402
O2 O 0.458 0.819 0.098
Ni1 Ni 0.000 0.000 0.000
Na1 Na 0.028 0.343 0.750
O3 O 0.542 0.181 0.598
Ni2 Ni 0.500 0.500 0.000
Na2 Na 0.472 0.157 0.250
O4 O 0.542 0.181 0.902
O5 O 0.959 0.319 0.098
O6 O 0.042 0.681 0.598
Ni3 Ni 0.500 0.500 0.500
Na3 Na 0.972 0.657 0.250
Na4 Na 0.528 0.843 0.750
O7 O 0.958 0.319 0.402
O8 O 0.042 0.681 0.902
Ni4 Ni 0.000 0.000 0.500
```

Output
Calculated volume, Å³ per cell: 165
ΔH_f (0 K), eV/atom: -1.32
Uncorrected energy, eV per atom: -4.59

***

No. 4
Li32Mn13Cr3O48: relaxed, PBE with a Hubbard U.

Geometry as CIF:
```
data_Li32Mn13Cr3O48
_space_group_name_H-M_alt 'P 1'
_space_group_IT_number 1
_space_group_name_Hall 'P 1'
_cell_length_a 5.006
_cell_length_b 8.669
_cell_length_c 19.457
_cell_angle_alpha 81.77
_cell_angle_beta 85.22
_cell_angle_gamma 89.94
loop_
_atom_site_label
_atom_site_type_symbol
_atom_site_fract_x
_atom_site_fract_y
_atom_site_fract_z
Li1 Li 0.000 0.000 0.000
Li2 Li 0.000 0.000 0.500
Li3 Li 0.117 0.792 0.126
Li4 Li 0.118 0.794 0.625
Li5 Li 0.236 0.588 0.751
Li6 Li 0.237 0.588 0.249
Li7 Li 0.243 0.918 0.751
Li8 Li 0.246 0.919 0.250
Li9 Li 0.247 0.248 0.751
Li10 Li 0.250 0.248 0.251
Li11 Li 0.368 0.042 0.375
Li12 Li 0.368 0.043 0.875
Li13 Li 0.482 0.837 0.501
Li14 Li 0.485 0.835 0.001
Li15 Li 0.491 0.169 0.001
Li16 Li 0.493 0.167 0.500
Li17 Li 0.499 0.500 0.000
Li18 Li 0.501 0.501 0.500
Li19 Li 0.613 0.292 0.125
Li20 Li 0.621 0.293 0.626
Li21 Li 0.736 0.087 0.250
Li22 Li 0.738 0.089 0.750
Li23 Li 0.741 0.420 0.250
Li24 Li 0.743 0.418 0.750
Li25 Li 0.747 0.748 0.250
Li26 Li 0.748 0.748 0.751
Li27 Li 0.868 0.541 0.375
Li28 Li 0.868 0.543 0.875
Li29 Li 0.983 0.337 0.500
Li30 Li 0.987 0.335 0.000
Li31 Li 0.994 0.669 0.000
Li32 Li 0.995 0.668 0.501
Mn1 Mn 0.115 0.125 0.626
Mn2 Mn 0.119 0.127 0.125
Mn3 Mn 0.367 0.377 0.375
Mn4 Mn 0.367 0.377 0.875
Mn5 Mn 0.368 0.710 0.875
Mn6 Mn 0.369 0.709 0.375
Mn7 Mn 0.616 0.627 0.126
Mn8 Mn 0.618 0.960 0.625
Mn9 Mn 0.619 0.960 0.125
Mn10 Mn 0.620 0.628 0.625
Mn11 Mn 0.867 0.211 0.375
Mn12 Mn 0.867 0.877 0.875
Mn13 Mn 0.868 0.210 0.875
Cr1 Cr 0.111 0.458 0.125
Cr2 Cr 0.125 0.459 0.626
Cr3 Cr 0.867 0.873 0.375
O1 O 0.025 0.062 0.319
O2 O 0.029 0.061 0.819
O3 O 0.065 0.383 0.319
O4 O 0.065 0.383 0.819
O5 O 0.065 0.741 0.818
O6 O 0.065 0.743 0.319
O7 O 0.170 0.203 0.431
O8 O 0.170 0.203 0.931
O9 O 0.170 0.846 0.932
O10 O 0.175 0.844 0.433
O11 O 0.206 0.525 0.431
O12 O 0.206 0.525 0.931
O13 O 0.272 0.312 0.569
O14 O 0.282 0.307 0.068
O15 O 0.316 0.989 0.068
O16 O 0.316 0.991 0.568
O17 O 0.318 0.633 0.069
O18 O 0.319 0.636 0.569
O19 O 0.420 0.096 0.682
O20 O 0.420 0.455 0.681
O21 O 0.421 0.096 0.182
O22 O 0.423 0.454 0.182
O23 O 0.454 0.776 0.181
O24 O 0.457 0.775 0.681
O25 O 0.529 0.562 0.819
O26 O 0.530 0.562 0.320
O27 O 0.559 0.882 0.319
O28 O 0.565 0.241 0.319
O29 O 0.565 0.241 0.818
O30 O 0.565 0.883 0.819
O31 O 0.670 0.346 0.432
O32 O 0.670 0.346 0.932
O33 O 0.671 0.703 0.931
O34 O 0.672 0.706 0.431
O35 O 0.707 0.025 0.931
O36 O 0.709 0.026 0.431
O37 O 0.779 0.813 0.069
O38 O 0.781 0.813 0.569
O39 O 0.814 0.133 0.569
O40 O 0.814 0.491 0.568
O41 O 0.815 0.133 0.069
O42 O 0.817 0.493 0.068
O43 O 0.915 0.599 0.184
O44 O 0.919 0.593 0.682
O45 O 0.920 0.952 0.681
O46 O 0.921 0.953 0.181
O47 O 0.955 0.271 0.682
O48 O 0.961 0.274 0.181
```

Output
M_tot, μB per cell: 45.00
Calculated volume, Å³ per cell: 833
Crystal system: triclinic
ΔH_f (0 K), eV/atom: -2.19
Uncorrected energy, eV per atom: -6.21

***

No. 5
KNi4P3O12: relaxed, PBE with a Hubbard U.

Geometry as CIF:
```
data_KNi4P3O12
_space_group_name_H-M_alt 'P 1'
_space_group_IT_number 1
_space_group_name_Hall 'P 1'
_cell_length_a 9.588
_cell_length_b 16.403
_cell_length_c 6.212
_cell_angle_alpha 90.00
_cell_angle_beta 90.00
_cell_angle_gamma 90.00
loop_
_atom_site_label
_atom_site_type_symbol
_atom_site_fract_x
_atom_site_fract_y
_atom_site_fract_z
K1 K 0.203 0.031 0.000
K2 K 0.297 0.531 0.500
K3 K 0.703 0.469 0.500
K4 K 0.797 0.969 0.000
Ni1 Ni 0.012 0.142 0.500
Ni2 Ni 0.033 0.593 0.000
Ni3 Ni 0.248 0.796 0.250
Ni4 Ni 0.248 0.796 0.750
Ni5 Ni 0.252 0.296 0.250
Ni6 Ni 0.252 0.296 0.750
Ni7 Ni 0.467 0.093 0.500
Ni8 Ni 0.488 0.642 0.000
Ni9 Ni 0.512 0.358 0.000
Ni10 Ni 0.533 0.907 0.500
Ni11 Ni 0.748 0.704 0.250
Ni12 Ni 0.748 0.704 0.750
Ni13 Ni 0.752 0.204 0.250
Ni14 Ni 0.752 0.204 0.750
Ni15 Ni 0.967 0.407 0.000
Ni16 Ni 0.988 0.858 0.500
P1 P 0.039 0.663 0.500
P2 P 0.047 0.220 0.000
P3 P 0.206 0.964 0.500
P4 P 0.294 0.464 0.000
P5 P 0.453 0.720 0.500
P6 P 0.461 0.163 0.000
P7 P 0.539 0.837 0.000
P8 P 0.547 0.280 0.500
P9 P 0.706 0.536 0.000
P10 P 0.794 0.036 0.500
P11 P 0.953 0.780 0.000
P12 P 0.961 0.337 0.500
O1 O 0.087 0.618 0.299
O2 O 0.087 0.618 0.701
O3 O 0.107 0.182 0.208
O4 O 0.107 0.182 0.792
O5 O 0.110 0.310 0.000
O6 O 0.111 0.752 0.500
O7 O 0.114 0.775 0.000
O8 O 0.123 0.325 0.500
O9 O 0.134 0.480 0.000
O10 O 0.135 0.046 0.500
O11 O 0.160 0.910 0.302
O12 O 0.160 0.910 0.698
O13 O 0.340 0.410 0.198
O14 O 0.340 0.410 0.802
O15 O 0.365 0.546 0.000
O16 O 0.366 0.980 0.500
O17 O 0.377 0.825 0.000
O18 O 0.386 0.275 0.500
O19 O 0.389 0.252 0.000
O20 O 0.390 0.810 0.500
O21 O 0.393 0.682 0.292
O22 O 0.393 0.682 0.708
O23 O 0.413 0.118 0.201
O24 O 0.413 0.118 0.799
O25 O 0.587 0.882 0.201
O26 O 0.587 0.882 0.799
O27 O 0.607 0.318 0.292
O28 O 0.607 0.318 0.708
O29 O 0.610 0.190 0.500
O30 O 0.611 0.748 0.000
O31 O 0.614 0.725 0.500
O32 O 0.623 0.175 0.000
O33 O 0.634 0.020 0.500
O34 O 0.635 0.454 0.000
O35 O 0.660 0.590 0.198
O36 O 0.660 0.590 0.802
O37 O 0.840 0.090 0.302
O38 O 0.840 0.090 0.698
O39 O 0.865 0.954 0.500
O40 O 0.866 0.520 0.000
O41 O 0.877 0.675 0.500
O42 O 0.886 0.225 0.000
O43 O 0.889 0.248 0.500
O44 O 0.890 0.690 0.000
O45 O 0.893 0.818 0.208
O46 O 0.893 0.818 0.792
O47 O 0.913 0.382 0.299
O48 O 0.913 0.382 0.701
```

Output
Calculated volume, Å³ per cell: 977
Crystal system: orthorhombic
ΔH_f (0 K), eV/atom: -2.19
Uncorrected energy, eV per atom: -6.26

***

No. 6
NaFeS2O8: relaxed, PBE with a Hubbard U.

Geometry as CIF:
```
data_NaFeS2O8
_space_group_name_H-M_alt 'P 1'
_space_group_IT_number 1
_space_group_name_Hall 'P 1'
_cell_length_a 14.336
_cell_length_b 5.191
_cell_length_c 8.309
_cell_angle_alpha 90.00
_cell_angle_beta 90.00
_cell_angle_gamma 90.00
loop_
_atom_site_label
_atom_site_type_symbol
_atom_site_fract_x
_atom_site_fract_y
_atom_site_fract_z
Na1 Na 0.080 0.250 0.081
Na2 Na 0.420 0.750 0.581
Na3 Na 0.580 0.250 0.419
Na4 Na 0.920 0.750 0.919
Fe1 Fe 0.153 0.250 0.504
Fe2 Fe 0.347 0.750 0.004
Fe3 Fe 0.653 0.250 0.996
Fe4 Fe 0.847 0.750 0.496
S1 S 0.059 0.750 0.304
S2 S 0.164 0.750 0.753
S3 S 0.336 0.250 0.253
S4 S 0.441 0.250 0.804
S5 S 0.559 0.750 0.196
S6 S 0.664 0.750 0.747
S7 S 0.836 0.250 0.247
S8 S 0.941 0.250 0.696
O1 O 0.020 0.250 0.580
O2 O 0.029 0.750 0.136
O3 O 0.065 0.750 0.782
O4 O 0.117 0.516 0.332
O5 O 0.117 0.984 0.332
O6 O 0.195 0.518 0.661
O7 O 0.195 0.982 0.661
O8 O 0.215 0.750 0.911
O9 O 0.285 0.250 0.411
O10 O 0.305 0.018 0.161
O11 O 0.305 0.482 0.161
O12 O 0.383 0.016 0.832
O13 O 0.383 0.484 0.832
O14 O 0.435 0.250 0.282
O15 O 0.471 0.250 0.636
O16 O 0.480 0.750 0.080
O17 O 0.520 0.250 0.920
O18 O 0.529 0.750 0.364
O19 O 0.565 0.750 0.718
O20 O 0.617 0.516 0.168
O21 O 0.617 0.984 0.168
O22 O 0.695 0.518 0.839
O23 O 0.695 0.982 0.839
O24 O 0.715 0.750 0.589
O25 O 0.785 0.250 0.089
O26 O 0.805 0.018 0.339
O27 O 0.805 0.482 0.339
O28 O 0.883 0.016 0.668
O29 O 0.883 0.484 0.668
O30 O 0.935 0.250 0.218
O31 O 0.971 0.250 0.864
O32 O 0.980 0.750 0.420
```

Output
M_tot, μB per cell: 20.00
Calculated volume, Å³ per cell: 618
Crystal system: orthorhombic
ΔH_f (0 K), eV/atom: -1.93
Uncorrected energy, eV per atom: -6.08
Energy above the lowest structure with this stoichiometry, kJ/mol of formula units: 30

***

Q: Which of these has the highest uncorrected energy?
A: NaNiO2